1.
The following is a meta-GGA r2SCAN calculation of crystalline V4Fe2O13 at its relaxed geometry, from Materials Project.

abc: 9.419 8.300 14.565
angles: 77.84 90.00 90.00
Positions (direct):
V 0.277 0.748 0.672
V 0.740 0.856 0.324
V 0.723 0.252 0.328
V 0.260 0.144 0.676
V 0.240 0.144 0.176
V 0.791 0.958 0.092
V 0.291 0.042 0.408
V 0.760 0.856 0.824
V 0.287 0.531 0.905
V 0.709 0.958 0.592
V 0.713 0.469 0.095
V 0.209 0.042 0.908
V 0.777 0.252 0.828
V 0.213 0.531 0.405
V 0.223 0.748 0.172
V 0.787 0.469 0.595
Fe 0.499 0.695 0.482
Fe 0.499 0.807 0.008
Fe 0.501 0.193 0.992
Fe 0.501 0.305 0.518
Fe 0.999 0.193 0.492
Fe 0.001 0.695 0.982
Fe 0.001 0.807 0.508
Fe 0.999 0.305 0.018
O 0.836 0.055 0.815
O 0.360 0.343 0.923
O 0.136 0.857 0.909
O 0.615 0.863 0.522
O 0.613 0.318 0.402
O 0.722 0.388 0.218
O 0.664 0.055 0.315
O 0.615 0.229 0.875
O 0.115 0.650 0.460
O 0.116 0.162 0.608
O 0.884 0.838 0.392
O 0.385 0.650 0.960
O 0.211 0.162 0.791
O 0.364 0.857 0.409
O 0.222 0.612 0.282
O 0.113 0.682 0.098
O 0.711 0.838 0.709
O 0.778 0.388 0.718
O 0.615 0.495 0.548
O 0.885 0.350 0.540
O 0.336 0.945 0.685
O 0.164 0.945 0.185
O 0.289 0.162 0.291
O 0.619 0.714 0.370
O 0.885 0.863 0.022
O 0.384 0.162 0.108
O 0.385 0.137 0.478
O 0.618 0.993 0.047
O 0.860 0.657 0.577
O 0.115 0.505 0.952
O 0.885 0.229 0.375
O 0.118 0.007 0.453
O 0.882 0.993 0.547
O 0.387 0.682 0.598
O 0.881 0.714 0.870
O 0.616 0.838 0.892
O 0.382 0.007 0.953
O 0.115 0.771 0.625
O 0.885 0.495 0.048
O 0.615 0.350 0.040
O 0.140 0.343 0.423
O 0.278 0.612 0.782
O 0.115 0.137 0.978
O 0.381 0.286 0.630
O 0.385 0.505 0.452
O 0.789 0.838 0.209
O 0.636 0.143 0.591
O 0.119 0.286 0.130
O 0.864 0.143 0.091
O 0.385 0.771 0.125
O 0.887 0.318 0.902
O 0.640 0.657 0.077

## Properties
The density comes out at 3.1 g/cm3. As for the space group: P2_1/c. The calculation puts the total energy at -10.83 eV per atom. The formation energy comes out at -2.261 eV per atom.

2.
The following is a meta-GGA r2SCAN calculation of crystalline FeOF at its relaxed geometry, from Materials Project.

abc: 4.665 5.571 5.546
angles: 65.62 90.00 90.00
Positions (direct):
Fe 0.474 0.997 0.531
Fe 0.526 0.503 0.969
Fe 0.974 0.003 0.969
Fe 0.026 0.497 0.530
O 0.197 0.156 0.651
O 0.303 0.656 0.651
O 0.697 0.844 0.849
O 0.803 0.344 0.849
F 0.195 0.646 0.154
F 0.305 0.146 0.154
F 0.695 0.354 0.346
F 0.805 0.854 0.346

## Properties
The density comes out at 4.6 g/cm3. As for the space group: P2_1/c. The calculation puts the total energy at -9.94 eV per atom. The formation energy comes out at -2.101 eV per atom.

3.
The following is a meta-GGA r2SCAN calculation of crystalline NdYMg2 at its relaxed geometry, from Materials Project.

abc: 5.444 5.444 5.444
angles: 60.00 60.00 60.00
Positions (direct):
Nd 0.500 0.500 0.500
Y 0.000 0.000 0.000
Mg 0.250 0.250 0.250
Mg 0.750 0.750 0.750

## Properties
The density comes out at 4.1 g/cm3. As for the space group: Fm-3m. The calculation puts the total energy at -14.63 eV per atom. The formation energy comes out at -0.110 eV per atom.

4.
The following is a meta-GGA r2SCAN calculation of crystalline CsPH3O4F at its relaxed geometry, from Materials Project.

abc: 7.850 9.446 14.685
angles: 90.00 90.00 90.00
Positions (direct):
Cs 0.700 0.571 0.334
Cs 0.800 0.429 0.834
Cs 0.200 0.571 0.166
Cs 0.700 0.929 0.834
Cs 0.300 0.071 0.166
Cs 0.800 0.071 0.334
Cs 0.300 0.429 0.666
Cs 0.200 0.929 0.666
P 0.810 0.201 0.060
P 0.310 0.201 0.440
P 0.190 0.799 0.940
P 0.810 0.299 0.560
P 0.190 0.701 0.440
P 0.690 0.701 0.060
P 0.310 0.299 0.940
P 0.690 0.799 0.560
H 0.721 0.517 0.574
H 0.554 0.799 0.199
H 0.779 0.017 0.574
H 0.721 0.983 0.074
H 0.446 0.299 0.301
H 0.554 0.701 0.699
H 0.017 0.340 0.460
H 0.446 0.201 0.801
H 0.279 0.017 0.926
H 0.054 0.799 0.301
H 0.946 0.201 0.699
H 0.017 0.160 0.960
H 0.221 0.517 0.926
H 0.946 0.299 0.199
H 0.983 0.840 0.040
H 0.779 0.483 0.074
H 0.221 0.983 0.426
H 0.983 0.660 0.540
H 0.483 0.840 0.460
H 0.054 0.701 0.801
H 0.483 0.660 0.960
H 0.517 0.160 0.540
H 0.279 0.483 0.426
H 0.517 0.340 0.040
O 0.323 0.917 0.916
O 0.323 0.583 0.416
O 0.887 0.345 0.466
O 0.049 0.790 0.870
O 0.209 0.163 0.950
O 0.549 0.790 0.630
O 0.709 0.163 0.550
O 0.209 0.337 0.450
O 0.177 0.417 0.916
O 0.113 0.845 0.034
O 0.823 0.583 0.084
O 0.677 0.083 0.084
O 0.677 0.417 0.584
O 0.887 0.155 0.966
O 0.791 0.663 0.550
O 0.451 0.210 0.370
O 0.613 0.655 0.966
O 0.291 0.837 0.450
O 0.113 0.655 0.534
O 0.951 0.210 0.130
O 0.177 0.083 0.416
O 0.049 0.710 0.370
O 0.613 0.845 0.466
O 0.951 0.290 0.630
O 0.549 0.710 0.130
O 0.387 0.155 0.534
O 0.451 0.290 0.870
O 0.291 0.663 0.950
O 0.791 0.837 0.050
O 0.823 0.917 0.584
O 0.387 0.345 0.034
O 0.709 0.337 0.050
F 0.050 0.636 0.744
F 0.550 0.864 0.256
F 0.950 0.136 0.756
F 0.450 0.364 0.244
F 0.550 0.636 0.756
F 0.950 0.364 0.256
F 0.450 0.136 0.744
F 0.050 0.864 0.244

## Properties
The density comes out at 3.0 g/cm3. As for the space group: Pbca. The calculation puts the total energy at -9.09 eV per atom. The formation energy comes out at -1.941 eV per atom.

5.
The following is a meta-GGA r2SCAN calculation of crystalline Pu5Rh3 at its relaxed geometry, from Materials Project.

abc: 10.889 10.889 5.984
angles: 90.00 90.00 90.00
Positions (direct):
Pu 0.500 0.500 0.500
Pu 0.500 0.500 0.000
Pu 0.000 0.000 0.500
Pu 0.000 0.000 0.000
Pu 0.783 0.584 0.256
Pu 0.217 0.584 0.756
Pu 0.717 0.916 0.744
Pu 0.717 0.084 0.244
Pu 0.217 0.416 0.256
Pu 0.783 0.416 0.756
Pu 0.283 0.084 0.744
Pu 0.283 0.916 0.244
Pu 0.416 0.783 0.744
Pu 0.416 0.217 0.244
Pu 0.916 0.283 0.256
Pu 0.916 0.717 0.756
Pu 0.584 0.217 0.744
Pu 0.584 0.783 0.244
Pu 0.084 0.717 0.256
Pu 0.084 0.283 0.756
Rh 0.500 0.000 0.493
Rh 0.500 0.000 0.993
Rh 0.000 0.500 0.507
Rh 0.000 0.500 0.007
Rh 0.661 0.661 0.750
Rh 0.339 0.661 0.250
Rh 0.839 0.839 0.250
Rh 0.839 0.161 0.750
Rh 0.339 0.339 0.750
Rh 0.661 0.339 0.250
Rh 0.161 0.161 0.250
Rh 0.161 0.839 0.750

## Properties
The density comes out at 14.3 g/cm3. As for the space group: P4/ncc. The calculation puts the total energy at -63.65 eV per atom. The formation energy comes out at -0.627 eV per atom.

6.
The following is a meta-GGA r2SCAN calculation of crystalline Ca2MgC3O9 at its relaxed geometry, from Materials Project.

abc: 6.138 7.823 8.426
angles: 111.03 103.29 106.83
Positions (direct):
Ca 0.018 0.524 0.002
Ca 0.335 0.830 0.669
Ca 0.016 0.022 0.998
Ca 0.665 0.661 0.331
Mg 0.666 0.163 0.332
Mg 0.333 0.330 0.668
C 0.508 0.251 0.001
C 0.817 0.559 0.659
C 0.174 0.938 0.343
C 0.507 0.750 0.999
C 0.831 0.095 0.657
C 0.158 0.400 0.341
O 0.687 0.424 0.083
O 0.997 0.735 0.755
O 0.357 0.112 0.430
O 0.708 0.475 0.741
O 0.088 0.848 0.431
O 0.445 0.156 0.093
O 0.907 0.185 0.833
O 0.270 0.489 0.517
O 0.556 0.844 0.174
O 0.353 0.564 0.907
O 0.657 0.917 0.569
O 0.967 0.234 0.259
O 0.242 0.480 0.245
O 0.604 0.841 0.917
O 0.927 0.182 0.570
O 0.074 0.852 0.167
O 0.382 0.170 0.826
O 0.753 0.472 0.483

## Properties
The density comes out at 2.8 g/cm3. The energy above the most stable polymorph in this dataset comes out at 0.018 eV/atom. As for the space group: Cc. The calculation puts the total energy at -9.12 eV per atom. The formation energy comes out at -2.327 eV per atom.

Q: Number 6 is which compound?
A: Ca2MgC3O9